[1]
A plane-wave DFT calculation with r²SCAN was carried out for an optimized crystal structure of CeSi3Ru.

Output
- Formation energy from the elements: -734 meV/atom
- Magnetization: 1.6 μB/cell

Cell lengths 4.1976, 4.1976, 9.9320 Å; angles 90.00, 90.00, 90.00 degrees
Last column: nearest neighbours and their distance in Å.
Space group I4mm (No. 107)
Asymmetric unit:
Ce1 0.0000 0.0000 0.0000 [2 per cell]  12 Si 3.06-3.38, 5 Ru 3.36-3.39
Si1 0.0000 0.0000 0.5768 [2 per cell]  1 Ru 2.34, 4 Si 2.61
Si2 0.0000 0.5000 0.2335 [4 per cell]  2 Ru 2.35, 2 Si 2.61
Ru1 0.0000 0.0000 0.3410 [2 per cell]  5 Si 2.34-2.35

[2]
A plane-wave DFT calculation with r²SCAN was carried out for an optimized crystal structure of Ce2S3.

Output
- Formation energy from the elements: -2409 meV/atom
- Magnetization: 4.1 μB/cell

Cell lengths 7.5720, 4.0945, 15.6447 Å; angles 90.00, 90.13, 90.00 degrees
Last column: nearest neighbours and their distance in Å.
Space group P2_1/m (No. 11)
Asymmetric unit:
Ce1 0.1364 0.2500 0.2924 [2 per cell]  7 S 2.85-3.03
Ce2 0.2364 0.7500 0.0420 [2 per cell]  7 S 2.85-3.01
Ce3 0.2632 0.2500 0.5423 [2 per cell]  7 S 2.85-3.02
Ce4 0.3628 0.7500 0.7934 [2 per cell]  7 S 2.84-3.05
S1 0.0123 0.2500 0.1080 [2 per cell]  4 Ce 2.85-3.03
S2 0.1269 0.7500 0.4317 [2 per cell]  5 Ce 2.87-2.99, 1 S 3.17
S3 0.1507 0.2500 0.7201 [2 per cell]  5 Ce 2.84-2.99, 1 S 3.17
S4 0.3504 0.7500 0.2197 [2 per cell]  5 Ce 2.85-2.99, 1 S 3.17
S5 0.3728 0.2500 0.9320 [2 per cell]  5 Ce 2.87-2.99, 1 S 3.17
S6 0.4877 0.7500 0.6080 [2 per cell]  4 Ce 2.85-3.05

[3]
A plane-wave DFT calculation with r²SCAN was carried out for an optimized crystal structure of Ce3SiS2.

Output
- Formation energy from the elements: -1834 meV/atom
- Magnetization: 6.2 μB/cell

Cell lengths 4.2069, 5.9092, 12.5638 Å; angles 90.00, 90.00, 90.00 degrees
Last column: nearest neighbours and their distance in Å.
Space group Immm (No. 71)
Asymmetric unit:
Ce1 0.0000 0.0000 0.0000 [2 per cell]  2 Si 2.95, 4 S 2.96
Ce2 0.0000 0.0000 0.3336 [4 per cell]  4 S 2.95-2.98, 2 Si 2.97
Si1 0.0000 0.5000 0.0000 [2 per cell]  6 Ce 2.95-2.97
S1 0.0000 0.5000 0.3340 [4 per cell]  6 Ce 2.95-2.98

[4]
A plane-wave DFT calculation with r²SCAN was carried out for an optimized crystal structure of CeTh2S3.

Output
- Formation energy from the elements: -2125 meV/atom
- Magnetization: 0.9 μB/cell

Cell lengths 4.0702, 4.0702, 9.9005 Å; angles 90.00, 90.00, 120.00 degrees
Last column: nearest neighbours and their distance in Å.
Space group P-3m1 (No. 164)
Asymmetric unit:
Ce1 0.0000 0.0000 0.0000 [1 per cell]  6 S 2.89
Th1 0.3333 0.6667 0.6626 [2 per cell]  6 S 2.85-2.88
S1 0.0000 0.0000 0.5000 [1 per cell]  6 Th 2.85
S2 0.3333 0.6667 0.1691 [2 per cell]  3 Th 2.88, 3 Ce 2.89

[5]
A plane-wave DFT calculation with r²SCAN was carried out for an optimized crystal structure of CeTmS3.

Output
- Formation energy from the elements: -2387 meV/atom
- Magnetization: 8.0 μB/cell

Cell lengths 10.9982, 3.9390, 21.4675 Å; angles 90.00, 101.36, 90.00 degrees
Last column: nearest neighbours and their distance in Å.
Space group P2_1/m (No. 11)
Asymmetric unit:
Ce1 0.0913 0.2500 0.3640 [2 per cell]  7 S 2.82-3.05
Ce2 0.1998 0.2500 0.0374 [2 per cell]  8 S 2.88-3.14
Ce3 0.3025 0.7500 0.7333 [2 per cell]  7 S 2.89-3.01
Ce4 0.3093 0.2500 0.2331 [2 per cell]  8 S 2.89-3.00
Tm1 0.0299 0.2500 0.8506 [2 per cell]  6 S 2.63-2.77
Tm2 0.1799 0.2500 0.5463 [2 per cell]  7 S 2.69-2.93
Tm3 0.4463 0.2500 0.9171 [2 per cell]  6 S 2.60-2.76
Tm4 0.4773 0.7500 0.4124 [2 per cell]  7 S 2.69-2.93
S1 0.0355 0.2500 0.2301 [2 per cell]  2 Tm 2.63, 1 Ce 2.82
S2 0.0575 0.7500 0.9431 [2 per cell]  2 Tm 2.77, 3 Ce 2.94-3.03
S3 0.0867 0.7500 0.4640 [2 per cell]  3 Tm 2.71-2.90, 2 Ce 2.92
S4 0.1251 0.2500 0.6628 [2 per cell]  1 Tm 2.69, 2 Ce 2.97
S5 0.2043 0.7500 0.1357 [2 per cell]  1 Tm 2.65, 4 Ce 2.88-2.94
S6 0.2529 0.7500 0.3272 [2 per cell]  1 Tm 2.77, 4 Ce 2.87-2.97
S7 0.2545 0.2500 0.8242 [2 per cell]  2 Tm 2.60-2.64, 2 Ce 2.89
S8 0.3421 0.7500 0.5988 [2 per cell]  4 Tm 2.75-2.84, 1 Ce 3.01
S9 0.3568 0.7500 0.9863 [2 per cell]  3 Tm 2.69-2.76, 2 Ce 2.97
S10 0.3646 0.2500 0.4646 [2 per cell]  4 Tm 2.69-2.93
S11 0.4539 0.2500 0.1342 [2 per cell]  2 Tm 2.60, 1 Ce 2.89
S12 0.4926 0.2500 0.7201 [2 per cell]  4 Ce 2.93-2.96, 1 Tm 2.93, 1 S 3.16

[6]
A plane-wave DFT calculation with r²SCAN was carried out for an optimized crystal structure of CeY3S6.

Output
- Formation energy from the elements: -2398 meV/atom
- Magnetization: 2.0 μB/cell

Cell lengths 11.0887, 3.9901, 11.3667 Å; angles 90.00, 108.56, 90.00 degrees
Last column: nearest neighbours and their distance in Å.
Space group P2_1/m (No. 11)
Asymmetric unit:
Ce1 0.0494 0.2500 0.1935 [2 per cell]  8 S 2.92-3.07
Y1 0.1608 0.2500 0.5866 [2 per cell]  6 S 2.67-2.79
Y2 0.3199 0.7500 0.9991 [2 per cell]  7 S 2.70-2.93
Y3 0.4413 0.2500 0.3330 [2 per cell]  6 S 2.67-2.78
S1 0.0826 0.7500 0.4065 [2 per cell]  3 Y 2.72-2.79
S2 0.1183 0.2500 0.9642 [2 per cell]  3 Ce 2.92-2.94, 2 Y 2.93
S3 0.1939 0.7500 0.7495 [2 per cell]  3 Y 2.67-2.73, 1 Ce 2.97
S4 0.2652 0.7500 0.2283 [2 per cell]  3 Y 2.78-2.86, 2 Ce 3.04
S5 0.3944 0.2500 0.5585 [2 per cell]  4 Y 2.71-2.77
S6 0.4786 0.2500 0.1122 [2 per cell]  4 Y 2.67-2.90

[7]
A plane-wave DFT calculation with r²SCAN was carried out for an optimized crystal structure of YbCeS3.

Output
- Formation energy from the elements: -2391 meV/atom
- Magnetization: 4.0 μB/cell

Cell lengths 3.8675, 12.6458, 9.4786 Å; angles 90.00, 90.00, 90.00 degrees
Last column: nearest neighbours and their distance in Å.
Space group Cmcm (No. 63)
Asymmetric unit:
Yb1 0.0000 0.0000 0.0000 [4 per cell]  6 S 2.61-2.70
Ce1 0.0000 0.2528 0.2500 [4 per cell]  6 S 2.81-2.98
S1 0.0000 0.0862 0.7500 [4 per cell]  2 Yb 2.61, 2 Ce 2.81
S2 0.0000 0.3593 0.5634 [8 per cell]  2 Yb 2.70, 2 Ce 2.98

[8]
A plane-wave DFT calculation with r²SCAN was carried out for an optimized crystal structure of Ce2ZrS5.

Output
- Formation energy from the elements: -2218 meV/atom
- Magnetization: 8.0 μB/cell

Cell lengths 11.5906, 8.0884, 7.4129 Å; angles 90.00, 90.00, 90.00 degrees
Last column: nearest neighbours and their distance in Å.
Space group Pnma (No. 62)
Asymmetric unit:
Ce1 0.1743 0.0002 0.0457 [8 per cell]  8 S 2.89-3.04
Zr1 0.0084 0.2500 0.5740 [4 per cell]  7 S 2.55-2.75
S1 0.0039 0.2500 0.9447 [4 per cell]  1 Zr 2.75, 4 Ce 2.89-2.92
S2 0.0807 0.5349 0.6709 [8 per cell]  2 Zr 2.55-2.72
S3 0.1877 0.2500 0.3514 [4 per cell]  1 Zr 2.65, 2 Ce 2.95
S4 0.2075 0.7500 0.3299 [4 per cell]  1 Zr 2.60

[9]
A plane-wave DFT calculation with r²SCAN was carried out for an optimized crystal structure of CeSb.

Output
- Formation energy from the elements: -1407 meV/atom
- Magnetization: 3.9 μB/cell

Cell lengths 6.4863, 6.4863, 6.4863 Å; angles 90.00, 90.00, 90.00 degrees
Last column: nearest neighbours and their distance in Å.
Space group Fm-3m (No. 225)
Asymmetric unit:
Ce1 0.0000 0.0000 0.0000 [4 per cell]  6 Sb 3.24
Sb1 0.0000 0.0000 0.5000 [4 per cell]  6 Ce 3.24

[10]
A plane-wave DFT calculation with r²SCAN was carried out for an optimized crystal structure of CeSb3.

Output
- Formation energy from the elements: -582 meV/atom
- Magnetization: 0.6 μB/cell

Cell lengths 4.7736, 4.7736, 4.7736 Å; angles 90.00, 90.00, 90.00 degrees
Last column: nearest neighbours and their distance in Å.
Space group Pm-3m (No. 221)
Asymmetric unit:
Ce1 0.0000 0.0000 0.0000 [1 per cell]  12 Sb 3.38
Sb1 0.0000 0.5000 0.5000 [3 per cell]  4 Ce 3.38, 8 Sb 3.38

[11]
A plane-wave DFT calculation with r²SCAN was carried out for an optimized crystal structure of Ce2Sb.

Output
- Formation energy from the elements: -983 meV/atom
- Magnetization: 12.6 μB/cell

Cell lengths 6.3549, 6.3720, 9.7036 Å; angles 90.00, 108.91, 90.00 degrees
Last column: nearest neighbours and their distance in Å.
Space group C2/m (No. 12)
Asymmetric unit:
Ce1 0.1804 0.0000 0.3640 [4 per cell]  5 Sb 3.29-3.35
Ce2 0.2500 0.2500 0.0000 [4 per cell]  4 Ce 3.18-3.19, 4 Sb 3.35
Sb1 0.1343 0.5000 0.2710 [4 per cell]  9 Ce 3.29-3.35

[12]
A plane-wave DFT calculation with r²SCAN was carried out for an optimized crystal structure of CeSbSe.

Output
- Formation energy from the elements: -1655 meV/atom
- Magnetization: 3.9 μB/cell

Cell lengths 18.2409, 4.2447, 4.2405 Å; angles 90.00, 90.00, 90.00 degrees
Last column: nearest neighbours and their distance in Å.
Space group Pnma (No. 62)
Asymmetric unit:
Ce1 0.1481 0.2500 0.2437 [4 per cell]  5 Se 3.04-3.08
Sb1 0.9999 0.2500 0.7406 [4 per cell]  4 Sb 2.94-3.06
Se1 0.1853 0.7500 0.7439 [4 per cell]  5 Ce 3.04-3.08

[13]
A plane-wave DFT calculation with r²SCAN was carried out for an optimized crystal structure of CeSbTe.

Output
- Formation energy from the elements: -1395 meV/atom
- Magnetization: 1.7 μB/cell

Cell lengths 4.3852, 4.3852, 9.4526 Å; angles 90.00, 90.00, 90.00 degrees
Last column: nearest neighbours and their distance in Å.
Space group P4/nmm (No. 129, origin choice 2)
Asymmetric unit:
Ce1 0.2500 0.2500 0.2252 [2 per cell]  5 Te 3.23-3.35, 4 Sb 3.40
Sb1 0.2500 0.7500 0.5000 [2 per cell]  4 Sb 3.10, 4 Ce 3.40
Te1 0.2500 0.2500 0.8711 [2 per cell]  5 Ce 3.23-3.35

[14]
A plane-wave DFT calculation with r²SCAN was carried out for an optimized crystal structure of Ce2ZnSb4.

Output
- Formation energy from the elements: -872 meV/atom
- Magnetization: 1.6 μB/cell

Cell lengths 4.4024, 4.4024, 10.0517 Å; angles 90.00, 90.00, 90.00 degrees
Last column: nearest neighbours and their distance in Å.
Space group P-4m2 (No. 115)
Asymmetric unit:
Ce1 0.0000 0.5000 0.2489 [2 per cell]  8 Sb 3.26-3.35, 2 Zn 3.33
Zn1 0.0000 0.0000 0.0000 [1 per cell]  4 Sb 2.68
Sb1 0.0000 0.0000 0.5000 [1 per cell]  4 Sb 3.11, 4 Ce 3.35
Sb2 0.0000 0.5000 0.8483 [2 per cell]  2 Zn 2.68
Sb3 0.5000 0.5000 0.5000 [1 per cell]  4 Sb 3.11, 4 Ce 3.35

[15]
A plane-wave DFT calculation with r²SCAN was carried out for an optimized crystal structure of Ce2Sc3Si4.

Output
- Formation energy from the elements: -828 meV/atom
- Magnetization: 14.2 μB/cell

Cell lengths 7.2165, 14.2407, 7.5270 Å; angles 90.00, 90.00, 90.00 degrees
Last column: nearest neighbours and their distance in Å.
Space group Pnma (No. 62)
Asymmetric unit:
Ce1 0.0129 0.0969 0.1736 [8 per cell]  6 Si 3.01-3.12
Sc1 0.1591 0.7500 0.5050 [4 per cell]  6 Si 2.84-3.03
Sc2 0.1721 0.1247 0.6761 [8 per cell]  6 Si 2.78-2.86
Si1 0.0333 0.7500 0.1205 [4 per cell]  1 Si 2.54, 4 Sc 2.78-2.81
Si2 0.1501 0.5390 0.4650 [8 per cell]  1 Si 2.49
Si3 0.2160 0.2500 0.3830 [4 per cell]  1 Si 2.54, 1 Sc 2.84

[16]
A plane-wave DFT calculation with r²SCAN was carried out for an optimized crystal structure of Ce2USe5.

Output
- Formation energy from the elements: -2027 meV/atom
- Magnetization: 16.0 μB/cell

Cell lengths 12.4288, 8.5486, 7.9024 Å; angles 90.00, 90.00, 90.00 degrees
Last column: nearest neighbours and their distance in Å.
Space group Pnma (No. 62)
Asymmetric unit:
Ce1 0.1769 0.0005 0.0269 [8 per cell]  8 Se 3.06-3.24
U1 0.0091 0.7500 0.5728 [4 per cell]  7 Se 2.81-3.03
Se1 0.0000 0.2500 0.0434 [4 per cell]  1 U 3.03, 4 Ce 3.07-3.12
Se2 0.0939 0.0418 0.6654 [8 per cell]  2 U 2.81-2.89, 2 Ce 3.06-3.07
Se3 0.1867 0.7500 0.3337 [4 per cell]  1 U 2.91, 4 Ce 3.12-3.24
Se4 0.2156 0.2500 0.3082 [4 per cell]  1 U 2.95, 4 Ce 3.06-3.12

[17]
A plane-wave DFT calculation with r²SCAN was carried out for an optimized crystal structure of CeThSi4.

Output
- Formation energy from the elements: -632 meV/atom
- Magnetization: 0.0 μB/cell

Cell lengths 4.1216, 4.1216, 14.2453 Å; angles 90.00, 90.00, 90.00 degrees
Last column: nearest neighbours and their distance in Å.
Space group I-4m2 (No. 119)
Asymmetric unit:
Ce1 0.0000 0.0000 0.0000 [2 per cell]  12 Si 3.13-3.14
Th1 0.0000 0.5000 0.2500 [2 per cell]  12 Si 3.15
Si1 0.0000 0.0000 0.4174 [4 per cell]  3 Si 2.35-2.38
Si2 0.0000 0.5000 0.6658 [4 per cell]  3 Si 2.38-2.40

[18]
A plane-wave DFT calculation with r²SCAN was carried out for an optimized crystal structure of Ce3Th3Si4.

Output
- Formation energy from the elements: -665 meV/atom
- Magnetization: 1.6 μB/cell

Cell lengths 7.8130, 4.1926, 7.8517 Å; angles 90.00, 90.54, 90.00 degrees
Last column: nearest neighbours and their distance in Å.
Space group Pm (No. 6)
Asymmetric unit:
Ce1 0.0000 0.0000 0.0000 [1 per cell]  6 Si 3.15-3.16, 2 Ce 3.51
Ce2 0.1804 0.5000 0.3232 [1 per cell]  4 Si 3.14-3.18
Ce3 0.6841 0.5000 0.8254 [1 per cell]  4 Si 3.17-3.19, 2 Ce 3.51, 2 Th 3.55
Th1 0.3641 0.0000 0.6444 [1 per cell]  6 Si 3.11-3.15
Th2 0.5010 0.0000 0.1437 [1 per cell]  6 Si 3.11-3.14
Th3 0.8600 0.0000 0.5043 [1 per cell]  6 Si 3.11-3.14
Si1 0.0733 0.5000 0.7086 [1 per cell]  1 Si 2.46
Si2 0.2930 0.5000 0.9347 [1 per cell]  1 Si 2.46
Si3 0.5681 0.5000 0.4350 [1 per cell]  1 Si 2.47
Si4 0.7924 0.5000 0.2155 [1 per cell]  1 Si 2.47